A plane-wave DFT calculation with PBE was carried out for a relaxed MgTi4O8 crystal.

## Properties
DFT formation energy   -3.1820 eV/atom
Offset from the most stable computed form   0.156 eV per atom

```
data_MgTi4O8
_chemical_formula_sum 'Mg2 Ti8 O16'
_space_group_name_H-M_alt 'A m m 2'
_space_group_IT_number 38
_cell_length_a 10.765
_cell_length_b 3.040
_cell_length_c 9.627
_cell_angle_alpha 90.00
_cell_angle_beta 90.00
_cell_angle_gamma 90.00
loop_
_space_group_symop_operation_xyz
'x,y,z'
'-x,-y,z'
'-x,y,z'
'x,-y,z'
'x,y+1/2,z+1/2'
'-x,-y+1/2,z+1/2'
'-x,y+1/2,z+1/2'
'x,-y+1/2,z+1/2'
loop_
_atom_site_label
_atom_site_type_symbol
_atom_site_fract_x
_atom_site_fract_y
_atom_site_fract_z
_atom_site_occupancy
Mg1 Mg 0.000 0.000 0.000 1
Ti1 Ti 0.215 0.000 0.605 1
Ti2 Ti 0.339 0.000 0.862 1
O1 O 0.000 0.000 0.624 1
O2 O 0.173 0.000 0.969 1
O3 O 0.264 0.000 0.238 1
O4 O 0.361 0.000 0.502 1
O5 O 0.500 0.000 0.803 1
```

=====

A plane-wave DFT calculation with PBE was carried out for a relaxed MgTi4O8 crystal.

## Properties
DFT formation energy   -3.3047 eV/atom
Offset from the most stable computed form   0.034 eV per atom

```
data_MgTi4O8
_chemical_formula_sum 'Mg2 Ti8 O16'
_space_group_name_H-M_alt 'A m m 2'
_space_group_IT_number 38
_cell_length_a 10.036
_cell_length_b 2.921
_cell_length_c 9.601
_cell_angle_alpha 90.00
_cell_angle_beta 90.00
_cell_angle_gamma 90.00
loop_
_space_group_symop_operation_xyz
'x,y,z'
'-x,-y,z'
'-x,y,z'
'x,-y,z'
'x,y+1/2,z+1/2'
'-x,-y+1/2,z+1/2'
'-x,y+1/2,z+1/2'
'x,-y+1/2,z+1/2'
loop_
_atom_site_label
_atom_site_type_symbol
_atom_site_fract_x
_atom_site_fract_y
_atom_site_fract_z
_atom_site_occupancy
Mg1 Mg 0.000 0.000 0.000 1
Ti1 Ti 0.181 0.000 0.748 1
Ti2 Ti 0.329 0.000 0.490 1
O1 O 0.000 0.000 0.657 1
O2 O 0.129 0.000 0.388 1
O3 O 0.244 0.000 0.112 1
O4 O 0.346 0.000 0.851 1
O5 O 0.500 0.000 0.553 1
```

=====

A plane-wave DFT calculation with PBE was carried out for a relaxed MgTi3O6 crystal.

## Properties
DFT formation energy   -3.1271 eV/atom

```
data_MgTi3O6
_chemical_formula_sum 'Mg2 Ti6 O12'
_space_group_name_H-M_alt 'C 1 2 1'
_space_group_IT_number 5
_cell_length_a 10.310
_cell_length_b 5.900
_cell_length_c 5.846
_cell_angle_alpha 90.00
_cell_angle_beta 90.81
_cell_angle_gamma 90.00
loop_
_space_group_symop_operation_xyz
'x,y,z'
'-x,y,-z'
'x+1/2,y+1/2,z'
'-x+1/2,y+1/2,-z'
loop_
_atom_site_label
_atom_site_type_symbol
_atom_site_fract_x
_atom_site_fract_y
_atom_site_fract_z
_atom_site_occupancy
Mg1 Mg 0.000 0.000 0.000 1
Ti1 Ti 0.000 0.360 0.500 1
Ti2 Ti 0.250 0.132 0.827 1
O1 O 0.069 0.185 0.742 1
O2 O 0.134 0.528 0.384 1
O3 O 0.184 0.897 0.031 1
```

=====

A plane-wave DFT calculation with PBE was carried out for a relaxed Mg2TiO crystal.

## Properties
DFT formation energy   -0.8767 eV/atom

```
data_Mg2TiO
_chemical_formula_sum 'Mg16 Ti8 O8'
_space_group_name_H-M_alt 'P -1'
_space_group_IT_number 2
_cell_length_a 5.933
_cell_length_b 6.122
_cell_length_c 20.971
_cell_angle_alpha 82.08
_cell_angle_beta 82.37
_cell_angle_gamma 62.11
loop_
_space_group_symop_operation_xyz
'x,y,z'
'-x,-y,-z'
loop_
_atom_site_label
_atom_site_type_symbol
_atom_site_fract_x
_atom_site_fract_y
_atom_site_fract_z
_atom_site_occupancy
Mg1 Mg 0.000 0.000 0.000 1
Mg2 Mg 0.122 0.625 0.626 1
Mg3 Mg 0.125 0.125 0.125 1
Mg4 Mg 0.125 0.625 0.125 1
Mg5 Mg 0.251 0.250 0.250 1
Mg6 Mg 0.373 0.377 0.375 1
Mg7 Mg 0.375 0.875 0.875 1
Mg8 Mg 0.377 0.871 0.377 1
Mg9 Mg 0.500 0.500 0.500 1
Ti1 Ti 0.000 0.000 0.500 1
Ti2 Ti 0.000 0.500 0.000 1
Ti3 Ti 0.000 0.500 0.500 1
Ti4 Ti 0.250 0.249 0.750 1
Ti5 Ti 0.250 0.750 0.249 1
Ti6 Ti 0.500 0.500 0.000 1
O1 O 0.091 0.091 0.716 1
O2 O 0.155 0.165 0.533 1
O3 O 0.345 0.336 0.968 1
O4 O 0.405 0.412 0.783 1
```

=====

A plane-wave DFT calculation with PBE was carried out for a relaxed MgTi23O40 crystal.

## Properties
DFT formation energy   -3.3795 eV/atom

```
data_MgTi23O40
_chemical_formula_sum 'Mg2 Ti46 O80'
_space_group_name_H-M_alt 'C 1 m 1'
_space_group_IT_number 8
_cell_length_a 10.608
_cell_length_b 20.115
_cell_length_c 7.620
_cell_angle_alpha 90.00
_cell_angle_beta 111.09
_cell_angle_gamma 90.00
loop_
_space_group_symop_operation_xyz
'x,y,z'
'x,-y,z'
'x+1/2,y+1/2,z'
'x+1/2,-y+1/2,z'
loop_
_atom_site_label
_atom_site_type_symbol
_atom_site_fract_x
_atom_site_fract_y
_atom_site_fract_z
_atom_site_occupancy
Mg1 Mg 0.000 0.000 0.000 1
Ti1 Ti 0.001 0.500 0.000 1
Ti2 Ti 0.001 0.500 0.502 1
Ti3 Ti 0.061 0.155 0.031 1
Ti4 Ti 0.063 0.154 0.532 1
Ti5 Ti 0.064 0.346 0.533 1
Ti6 Ti 0.065 0.344 0.032 1
Ti7 Ti 0.330 0.094 0.165 1
Ti8 Ti 0.331 0.096 0.666 1
Ti9 Ti 0.331 0.404 0.164 1
Ti10 Ti 0.331 0.404 0.668 1
Ti11 Ti 0.392 0.251 0.198 1
Ti12 Ti 0.392 0.251 0.696 1
Ti13 Ti 0.498 0.500 0.500 1
O1 O 0.008 0.339 0.255 1
O2 O 0.010 0.161 0.257 1
O3 O 0.012 0.340 0.756 1
O4 O 0.013 0.161 0.756 1
O5 O 0.145 0.065 0.574 1
O6 O 0.146 0.435 0.574 1
O7 O 0.147 0.434 0.075 1
O8 O 0.151 0.069 0.076 1
O9 O 0.245 0.313 0.123 1
O10 O 0.246 0.184 0.125 1
O11 O 0.246 0.314 0.623 1
O12 O 0.247 0.185 0.623 1
O13 O 0.382 0.091 0.441 1
O14 O 0.382 0.091 0.942 1
O15 O 0.383 0.408 0.442 1
O16 O 0.384 0.408 0.943 1
O17 O 0.424 0.500 0.222 1
O18 O 0.425 0.500 0.703 1
O19 O 0.430 0.000 0.216 1
O20 O 0.431 0.000 0.716 1
O21 O 0.460 0.249 0.980 1
O22 O 0.463 0.250 0.482 1
```

=====

A plane-wave DFT calculation with PBE was carried out for a relaxed MgTi3O6 crystal.

## Properties
DFT formation energy   -3.0816 eV/atom

```
data_MgTi3O6
_chemical_formula_sum 'Mg2 Ti6 O12'
_space_group_name_H-M_alt 'C 1 2 1'
_space_group_IT_number 5
_cell_length_a 9.774
_cell_length_b 5.203
_cell_length_c 6.294
_cell_angle_alpha 90.00
_cell_angle_beta 95.01
_cell_angle_gamma 90.00
loop_
_space_group_symop_operation_xyz
'x,y,z'
'-x,y,-z'
'x+1/2,y+1/2,z'
'-x+1/2,y+1/2,-z'
loop_
_atom_site_label
_atom_site_type_symbol
_atom_site_fract_x
_atom_site_fract_y
_atom_site_fract_z
_atom_site_occupancy
Mg1 Mg 0.000 0.000 0.000 1
Ti1 Ti 0.000 0.156 0.500 1
Ti2 Ti 0.212 0.461 0.158 1
O1 O 0.058 0.269 0.226 1
O2 O 0.159 0.992 0.618 1
O3 O 0.171 0.786 0.030 1
```

=====

A plane-wave DFT calculation with PBE was carried out for a relaxed MgTiO2 crystal.

## Properties
DFT formation energy   -2.5216 eV/atom

```
data_MgTiO2
_chemical_formula_sum 'Mg2 Ti2 O4'
_space_group_name_H-M_alt 'C 1 m 1'
_space_group_IT_number 8
_cell_length_a 5.135
_cell_length_b 2.963
_cell_length_c 6.320
_cell_angle_alpha 90.00
_cell_angle_beta 105.38
_cell_angle_gamma 90.00
loop_
_space_group_symop_operation_xyz
'x,y,z'
'x,-y,z'
'x+1/2,y+1/2,z'
'x+1/2,-y+1/2,z'
loop_
_atom_site_label
_atom_site_type_symbol
_atom_site_fract_x
_atom_site_fract_y
_atom_site_fract_z
_atom_site_occupancy
Mg1 Mg 0.000 0.000 0.000 1
Ti1 Ti 0.341 0.500 0.523 1
O1 O 0.078 0.500 0.737 1
O2 O 0.115 0.000 0.341 1
```

=====

A plane-wave DFT calculation with PBE was carried out for a relaxed Mg3Ti2O7 crystal.

## Properties
DFT formation energy   -3.2478 eV/atom

```
data_Mg3Ti2O7
_chemical_formula_sum 'Mg12 Ti8 O28'
_space_group_name_H-M_alt 'C m c 21'
_space_group_IT_number 36
_cell_length_a 17.890
_cell_length_b 5.199
_cell_length_c 5.363
_cell_angle_alpha 90.00
_cell_angle_beta 90.00
_cell_angle_gamma 90.00
loop_
_space_group_symop_operation_xyz
'x,y,z'
'-x,-y,z+1/2'
'-x,y,z'
'x,-y,z+1/2'
'x+1/2,y+1/2,z'
'-x+1/2,-y+1/2,z+1/2'
'-x+1/2,y+1/2,z'
'x+1/2,-y+1/2,z+1/2'
loop_
_atom_site_label
_atom_site_type_symbol
_atom_site_fract_x
_atom_site_fract_y
_atom_site_fract_z
_atom_site_occupancy
Mg1 Mg 0.000 0.246 0.000 1
Mg2 Mg 0.194 0.270 0.111 1
Ti1 Ti 0.106 0.253 0.560 1
O1 O 0.000 0.133 0.602 1
O2 O 0.080 0.427 0.219 1
O3 O 0.130 0.070 0.855 1
O4 O 0.206 0.360 0.488 1
```

=====

A plane-wave DFT calculation with PBE was carried out for a relaxed MgTi4O8 crystal.

## Properties
DFT formation energy   -3.2800 eV/atom
Offset from the most stable computed form   0.058 eV per atom

```
data_MgTi4O8
_chemical_formula_sum 'Mg3 Ti12 O24'
_space_group_name_H-M_alt 'R 3 m'
_space_group_IT_number 160
_space_group_name_Hall 'R 3 -2"'
_cell_length_a 5.9740
_cell_length_b 5.9740
_cell_length_c 14.7899
_cell_angle_alpha 90.00
_cell_angle_beta 90.00
_cell_angle_gamma 120.00
loop_
_atom_site_label
_atom_site_type_symbol
_atom_site_fract_x
_atom_site_fract_y
_atom_site_fract_z
_atom_site_occupancy
Mg1 Mg 0.0000 0.0000 0.0000 1
Ti1 Ti 0.0000 0.0000 0.7585 1
Ti2 Ti 0.0110 0.5055 0.8805 1
O1 O 0.0000 0.0000 0.1344 1
O2 O 0.0000 0.0000 0.6263 1
O3 O 0.1673 0.3345 0.4691 1
O4 O 0.1741 0.3483 0.9478 1
```

=====

A plane-wave DFT calculation with PBE was carried out for a relaxed Tm2MgTiO6 crystal.

## Properties
DFT formation energy   -3.7266 eV/atom

```
data_Tm2MgTiO6
_chemical_formula_sum 'Tm4 Mg2 Ti2 O12'
_space_group_name_H-M_alt 'P 1 21/c 1'
_space_group_IT_number 14
_cell_length_a 5.260
_cell_length_b 5.584
_cell_length_c 9.238
_cell_angle_alpha 90.00
_cell_angle_beta 123.99
_cell_angle_gamma 90.00
loop_
_space_group_symop_operation_xyz
'x,y,z'
'-x,-y,-z'
'-x,y+1/2,-z+1/2'
'x,-y+1/2,z+1/2'
loop_
_atom_site_label
_atom_site_type_symbol
_atom_site_fract_x
_atom_site_fract_y
_atom_site_fract_z
_atom_site_occupancy
Tm1 Tm 0.224 0.068 0.245 1
Mg1 Mg 0.000 0.000 0.500 1
Ti1 Ti 0.500 0.000 0.000 1
O1 O 0.140 0.186 0.944 1
O2 O 0.246 0.703 0.931 1
O3 O 0.381 0.052 0.758 1
```

=====

A plane-wave DFT calculation with PBE was carried out for a relaxed YMg6TiO8 crystal.

## Properties
DFT formation energy   -2.8125 eV/atom
Offset from the most stable computed form   0.058 eV per atom

```
data_YMg6TiO8
_chemical_formula_sum 'Y1 Mg6 Ti1 O8'
_space_group_name_H-M_alt 'P 4/m m m'
_space_group_IT_number 123
_space_group_name_Hall '-P 4 2'
_cell_length_a 4.453
_cell_length_b 4.453
_cell_length_c 8.907
_cell_angle_alpha 90.00
_cell_angle_beta 90.00
_cell_angle_gamma 90.00
loop_
_atom_site_label
_atom_site_type_symbol
_atom_site_fract_x
_atom_site_fract_y
_atom_site_fract_z
_atom_site_occupancy
Y1 Y 0.000 0.000 0.000 1
Mg1 Mg 0.000 0.500 0.265 1
Mg2 Mg 0.500 0.500 0.000 1
Mg3 Mg 0.500 0.500 0.500 1
Ti1 Ti 0.000 0.000 0.500 1
O1 O 0.000 0.000 0.254 1
O2 O 0.000 0.500 0.000 1
O3 O 0.000 0.500 0.500 1
O4 O 0.500 0.500 0.252 1
```

=====

A plane-wave DFT calculation with PBE was carried out for a relaxed Y2MgTiO6 crystal.

## Properties
DFT formation energy   -3.6804 eV/atom

```
data_Y2MgTiO6
_chemical_formula_sum 'Y4 Mg2 Ti2 O12'
_space_group_name_H-M_alt 'P 1 21/c 1'
_space_group_IT_number 14
_cell_length_a 5.342
_cell_length_b 5.638
_cell_length_c 9.362
_cell_angle_alpha 90.00
_cell_angle_beta 124.42
_cell_angle_gamma 90.00
loop_
_space_group_symop_operation_xyz
'x,y,z'
'-x,-y,-z'
'-x,y+1/2,-z+1/2'
'x,-y+1/2,z+1/2'
loop_
_atom_site_label
_atom_site_type_symbol
_atom_site_fract_x
_atom_site_fract_y
_atom_site_fract_z
_atom_site_occupancy
Y1 Y 0.228 0.066 0.247 1
Mg1 Mg 0.000 0.000 0.500 1
Ti1 Ti 0.500 0.000 0.000 1
O1 O 0.147 0.189 0.945 1
O2 O 0.249 0.706 0.936 1
O3 O 0.371 0.043 0.757 1
```